No. 1
! Fe2Te4ClO12 (PBE+U, relaxed); values from VASP
! * calculated total energy: -5.402 eV/atom
&SYSTEM
  ibrav = 0, nat = 19, ntyp = 4
/
ATOMIC_SPECIES
Fe 55.84 Fe.upf
Te 127.60 Te.upf
Cl 35.45 Cl.upf
O 16.00 O.upf
CELL_PARAMETERS angstrom
5.303 0.000 0.000
1.812 6.347 0.000
1.912 2.096 8.548
ATOMIC_POSITIONS angstrom
Fe 2.271 1.750 3.763
Fe 6.755 6.692 4.785
Te 4.049 6.940 7.137
Te 3.425 4.741 2.485
Te 5.601 3.702 6.063
Te 4.978 1.503 1.411
Cl 2.652 0.000 0.000
O 1.918 5.126 1.465
O 1.337 2.087 2.079
O 3.171 6.265 3.733
O 3.072 3.531 3.879
O 5.004 7.480 5.529
O 4.779 5.122 7.249
O 4.247 3.320 1.300
O 4.022 0.963 3.019
O 5.955 4.911 4.669
O 5.856 2.178 4.815
O 7.690 6.356 6.469
O 7.109 3.317 7.083

=====

No. 2
! FeTe3ClO7 (PBE+U, relaxed); values from VASP
! * calculated total energy: -5.400 eV/atom
&SYSTEM
  ibrav = 0, nat = 48, ntyp = 4
/
ATOMIC_SPECIES
Fe 55.84 Fe.upf
Te 127.60 Te.upf
Cl 35.45 Cl.upf
O 16.00 O.upf
CELL_PARAMETERS angstrom
11.014 0.000 0.000
0.000 7.485 0.000
-4.056 0.000 10.298
ATOMIC_POSITIONS angstrom
Fe 0.924 0.978 0.928
Fe -1.103 2.764 6.077
Fe 8.062 4.721 4.222
Fe 6.034 6.507 9.371
Te -2.020 0.074 7.920
Te 0.007 3.669 2.771
Te 0.890 0.190 4.517
Te -1.138 3.553 9.667
Te 1.819 4.488 6.004
Te 3.847 6.739 0.855
Te 3.112 0.746 9.443
Te 5.139 2.996 4.294
Te 8.097 3.932 0.632
Te 6.069 7.295 5.781
Te 6.951 3.816 7.527
Te 8.979 7.411 2.378
Cl 2.918 1.633 6.359
Cl 4.946 2.110 1.210
Cl 2.013 5.375 9.089
Cl 4.041 5.852 3.940
O -3.256 0.075 9.397
O -1.228 3.668 4.248
O -2.396 4.562 8.617
O -0.368 6.665 3.468
O 0.417 1.792 2.721
O -1.611 1.951 7.870
O -0.484 1.059 5.493
O 1.544 2.683 0.344
O 0.298 3.754 6.857
O 2.326 7.473 1.707
O 1.488 3.808 4.240
O -0.539 7.420 9.389
O 2.932 5.015 0.706
O 0.904 6.212 5.855
O 6.055 1.273 4.443
O 4.027 2.470 9.592
O 7.498 0.065 0.909
O 5.470 3.677 6.058
O 4.632 0.011 8.591
O 6.660 3.731 3.442
O 5.414 4.802 9.955
O 7.442 6.426 4.805
O 8.569 5.534 2.428
O 6.541 5.693 7.578
O 7.327 0.820 6.831
O 9.355 2.923 1.682
O 8.187 3.817 6.051
O 10.215 7.410 0.902

=====

No. 3
! Gd2MgMo2Cl2O8 (PBE+U, relaxed); values from VASP
! * calculated total energy: -8.059 eV/atom
&SYSTEM
  ibrav = 0, nat = 15, ntyp = 5
/
ATOMIC_SPECIES
Gd 157.25 Gd.upf
Mg 24.30 Mg.upf
Mo 95.94 Mo.upf
Cl 35.45 Cl.upf
O 16.00 O.upf
CELL_PARAMETERS angstrom
5.443 -3.615 0.000
5.443 3.615 0.000
-2.375 0.000 6.590
ATOMIC_POSITIONS angstrom
Gd 2.315 0.000 0.720
Gd 6.197 0.000 5.870
Mg 4.256 1.388 3.295
Mo 2.167 0.069 4.834
Mo 6.345 0.069 1.756
Cl 3.645 3.276 4.933
Cl 4.867 3.276 1.657
O 1.004 1.339 5.582
O 2.325 0.556 3.037
O 4.497 0.143 1.488
O 1.411 -1.374 5.709
O 4.014 0.143 5.102
O 7.508 1.339 1.008
O 6.187 0.556 3.553
O 7.100 -1.374 0.881

=====

No. 4
! Gd2MgMo2Cl2O8 (PBE+U, relaxed); values from VASP
! * calculated total energy: -8.078 eV/atom
&SYSTEM
  ibrav = 0, nat = 15, ntyp = 5
/
ATOMIC_SPECIES
Gd 157.25 Gd.upf
Mg 24.30 Mg.upf
Mo 95.94 Mo.upf
Cl 35.45 Cl.upf
O 16.00 O.upf
CELL_PARAMETERS angstrom
5.783 -3.452 0.000
5.783 3.452 0.000
-1.998 0.000 6.950
ATOMIC_POSITIONS angstrom
Gd 1.811 0.000 2.584
Gd 7.757 0.000 4.367
Mg 4.784 -1.607 3.475
Mo 0.127 -0.080 5.488
Mo 9.442 -0.080 1.462
Cl 3.695 0.113 4.852
Cl 5.873 0.113 2.098
O 2.872 2.072 2.515
O 2.219 0.082 0.326
O 6.696 2.072 4.435
O 3.002 -2.004 2.486
O 7.349 0.082 6.624
O 4.158 -3.159 4.842
O 6.567 -2.004 4.464
O 5.411 -3.159 2.108

=====

No. 5
! GdMoClO4 (PBE+U, relaxed); values from VASP
! * calculated total energy: -8.384 eV/atom
&SYSTEM
  ibrav = 0, nat = 14, ntyp = 4
/
ATOMIC_SPECIES
Gd 157.25 Gd.upf
Mo 95.94 Mo.upf
Cl 35.45 Cl.upf
O 16.00 O.upf
CELL_PARAMETERS angstrom
5.203 -3.712 0.000
5.203 3.712 0.000
-2.057 0.000 6.676
ATOMIC_POSITIONS angstrom
Gd 2.068 0.000 0.762
Gd 6.281 0.000 5.914
Mo 2.265 0.000 4.885
Mo 6.084 0.000 1.791
Cl -1.465 0.000 5.118
Cl 9.814 0.000 1.557
O 1.398 1.402 5.653
O 2.095 0.000 3.122
O 4.357 0.000 1.359
O 1.398 -1.402 5.653
O 6.951 1.402 1.023
O 3.992 0.000 5.317
O 6.254 0.000 3.554
O 6.951 -1.402 1.023

=====

No. 6
! K2MnH4Cl4O2 (PBE+U, relaxed); values from VASP
! * maximum piezoelectric response: 0.19 C/m²
! * calculated total energy: -4.491 eV/atom
&SYSTEM
  ibrav = 0, nat = 52, ntyp = 5
/
ATOMIC_SPECIES
H 1.01 H.upf
K 39.10 K.upf
Cl 35.45 Cl.upf
Mn 54.94 Mn.upf
O 16.00 O.upf
CELL_PARAMETERS angstrom
6.202 -0.020 -2.566
2.764 5.552 2.566
6.821 -11.056 16.572
ATOMIC_POSITIONS angstrom
H 4.372 1.442 -0.838
K 9.069 -9.684 13.219
H 5.716 2.271 -0.838
Cl 10.400 -6.826 14.491
Mn 6.174 0.024 10.848
Mn 6.191 0.000 4.141
Cl 13.632 -6.918 16.529
Cl 11.811 -4.226 12.387
Cl 10.414 -6.848 7.782
H 9.113 -3.234 14.159
K 7.364 -6.920 9.075
O 5.274 1.484 5.508
H 7.768 -4.064 14.159
Mn 13.022 -11.076 14.007
K 3.953 -1.392 0.789
Mn 9.599 -5.526 12.429
H 4.178 3.261 1.459
H 5.703 2.292 5.871
O 12.108 -9.593 15.372
Cl 8.739 -4.133 10.454
H 10.487 -6.967 16.788
H 7.782 -4.086 7.449
H 7.588 -2.268 9.746
H 7.091 -1.461 1.792
Cl 7.444 -6.920 12.387
Cl 8.401 1.302 4.101
H 4.359 1.463 5.871
Cl 9.032 -9.756 16.529
Cl 6.991 -1.299 6.204
H 7.603 -2.291 3.036
O 8.697 -4.065 7.087
Cl 12.163 -9.683 12.030
H 7.077 -1.438 8.502
Cl 7.003 -1.319 -0.505
O 7.090 -1.459 9.486
H 11.012 -7.817 11.323
O 10.513 -7.009 11.064
Cl 8.752 -4.155 3.745
K 8.437 1.374 0.789
H 9.126 -3.257 7.449
K 3.941 -1.370 7.497
O 7.104 -1.483 2.777
K 5.658 -4.156 4.932
Cl 10.222 -1.390 8.244
K 13.552 -6.919 13.219
Cl 5.622 -4.228 8.244
O 8.683 -4.043 13.796
Cl 5.329 1.395 2.167
Cl 4.035 -1.392 4.100
O 10.500 -6.987 17.772
H 10.500 -6.988 10.080
K 11.847 -4.154 9.075

=====

No. 7
! KMnH4Cl3O2 (PBE+U, relaxed); values from VASP
! * calculated total energy: -4.712 eV/atom
&SYSTEM
  ibrav = 0, nat = 44, ntyp = 5
/
ATOMIC_SPECIES
K 39.10 K.upf
Mn 54.94 Mn.upf
H 1.01 H.upf
Cl 35.45 Cl.upf
O 16.00 O.upf
CELL_PARAMETERS angstrom
7.608 0.000 0.000
3.137 8.864 0.000
1.188 2.482 10.943
ATOMIC_POSITIONS angstrom
K 0.000 0.000 0.000
K 1.998 4.028 2.462
K 7.535 10.103 5.470
K 6.400 5.269 7.936
Mn 2.861 5.951 5.849
Mn 6.674 8.182 2.084
Mn 6.069 4.711 0.377
Mn 11.073 9.422 7.558
H 2.670 5.304 8.577
H 3.421 6.856 3.242
H 4.155 7.643 9.788
H 2.983 3.977 7.813
H 3.416 1.291 0.120
H 6.568 8.970 9.089
H 6.114 7.275 4.692
H 4.916 2.446 10.300
H 5.880 4.063 3.105
H 7.819 8.098 8.713
H 7.366 6.403 4.315
H 6.193 2.736 2.341
H 7.814 2.532 5.592
H 9.778 7.728 3.618
H 10.513 8.516 10.165
H 8.126 1.204 4.830
Cl 2.003 0.990 3.154
Cl 2.485 1.840 8.035
Cl 4.848 7.551 6.429
Cl 4.688 6.582 1.505
Cl 5.101 5.910 10.842
Cl 4.395 4.278 4.779
Cl 6.401 2.231 8.627
Cl 5.695 0.598 2.563
Cl 8.057 6.310 0.957
Cl 9.087 7.822 6.977
Cl 8.312 4.669 5.371
Cl 8.794 5.520 10.251
O 2.651 6.900 3.860
O 3.674 8.472 9.546
O 3.192 4.945 7.817
O 3.206 0.323 0.117
O 7.049 8.141 9.331
O 6.884 7.232 4.074
O 6.402 3.705 2.345
O 7.604 1.563 5.590

=====

No. 8
! KMnH4Cl3O2 (PBE+U, relaxed); values from VASP
! * calculated total energy: -3.834 eV/atom
&SYSTEM
  ibrav = 0, nat = 22, ntyp = 5
/
ATOMIC_SPECIES
K 39.10 K.upf
Mn 54.94 Mn.upf
H 1.01 H.upf
Cl 35.45 Cl.upf
O 16.00 O.upf
CELL_PARAMETERS angstrom
6.521 0.000 0.000
2.678 6.439 0.000
0.198 3.448 8.623
ATOMIC_POSITIONS angstrom
K 1.343 2.901 1.689
K 8.053 6.986 6.934
Mn 4.640 6.262 2.813
Mn 4.757 3.625 5.810
H 2.854 6.745 4.359
H 4.203 6.390 5.029
H 2.850 3.296 6.973
H 5.182 5.392 0.501
H 4.215 4.495 8.122
H 6.547 6.591 1.650
H 5.194 3.497 3.594
H 6.543 3.142 4.264
Cl 0.628 3.928 7.169
Cl 2.276 3.076 4.297
Cl 4.800 6.721 7.004
Cl 4.597 3.166 1.619
Cl 7.121 6.811 4.326
Cl 8.768 5.959 1.454
O 3.721 6.293 4.216
O 5.521 6.398 1.446
O 3.876 3.489 7.177
O 5.675 3.594 4.407

=====

No. 9
! KMnH4Cl3O2 (PBE+U, relaxed); values from VASP
! * calculated total energy: -3.843 eV/atom
&SYSTEM
  ibrav = 0, nat = 22, ntyp = 5
/
ATOMIC_SPECIES
K 39.10 K.upf
Mn 54.94 Mn.upf
H 1.01 H.upf
Cl 35.45 Cl.upf
O 16.00 O.upf
CELL_PARAMETERS angstrom
6.521 0.000 0.000
2.678 6.439 0.000
0.198 3.448 8.623
ATOMIC_POSITIONS angstrom
K 0.529 0.943 1.689
K 8.868 8.944 6.934
Mn 4.175 5.143 2.813
Mn 5.222 4.744 5.810
H 2.868 6.780 4.359
H 4.426 6.926 5.029
H 3.676 5.283 6.973
H 3.999 2.547 0.501
H 5.398 7.341 8.122
H 5.720 4.604 1.650
H 4.971 2.961 3.594
H 6.528 3.107 4.264
Cl 1.516 6.062 7.169
Cl 2.271 3.065 4.297
Cl 5.636 8.731 7.004
Cl 3.761 1.156 1.619
Cl 7.126 6.822 4.326
Cl 7.881 3.825 1.454
O 3.692 6.221 4.216
O 4.631 4.259 1.446
O 4.766 5.628 7.177
O 5.705 3.666 4.407

=====

No. 10
! K2Mo6H2Cl14O (PBE+U, relaxed); values from VASP
! * calculated total energy: -4.051 eV/atom
&SYSTEM
  ibrav = 0, nat = 50, ntyp = 5
/
ATOMIC_SPECIES
K 39.10 K.upf
Mo 95.94 Mo.upf
H 1.01 H.upf
Cl 35.45 Cl.upf
O 16.00 O.upf
CELL_PARAMETERS angstrom
10.455 -8.122 0.000
10.455 8.122 0.000
-3.966 0.000 8.796
ATOMIC_POSITIONS angstrom
K 8.472 7.311 4.398
K 7.587 0.916 6.291
K 9.570 -0.916 1.893
K 10.455 -7.311 0.000
Mo 0.244 1.963 7.867
Mo 3.126 3.393 6.856
Mo 6.506 2.855 1.331
Mo 2.227 -1.963 3.469
Mo 12.547 2.922 2.212
Mo 11.897 3.490 5.534
Mo 5.109 -3.393 2.458
Mo 4.523 -2.855 5.730
Mo 14.871 2.192 4.649
Mo 10.564 -2.922 6.611
Mo 13.879 -3.490 1.135
Mo 16.854 -2.192 0.251
H 6.788 4.670 5.974
H 8.226 4.728 6.551
H 8.771 -4.670 1.576
H 10.209 -4.728 2.153
Cl 5.651 4.992 2.554
Cl -1.232 0.074 7.335
Cl 0.751 -0.074 2.937
Cl 4.318 1.669 1.617
Cl 8.379 4.412 0.657
Cl 5.174 3.004 5.553
Cl 3.245 1.281 8.320
Cl 13.142 5.495 1.099
Cl 7.705 1.648 3.057
Cl 10.519 3.901 3.462
Cl 2.336 -1.669 6.015
Cl 5.227 -1.281 3.922
Cl 10.013 3.024 7.042
Cl 11.303 1.456 0.652
Cl 5.722 -1.648 7.455
Cl 7.157 -3.004 1.155
Cl 3.668 -4.992 6.952
Cl 15.139 2.162 2.099
Cl 9.320 -1.456 5.050
Cl 12.787 0.921 4.442
Cl 6.396 -4.412 5.055
Cl 14.769 -0.921 0.044
Cl 11.995 -3.024 2.644
Cl 8.536 -3.901 7.861
Cl 16.134 0.277 5.448
Cl 13.156 -2.162 6.498
Cl 18.117 -0.277 1.050
Cl 11.159 -5.495 5.497
O 7.566 5.264 6.069
O 9.549 -5.264 1.671

=====

No. 11
! MgMo2H4Cl4O6 (PBE+U, relaxed); values from VASP
! * calculated total energy: -5.167 eV/atom
&SYSTEM
  ibrav = 0, nat = 17, ntyp = 5
/
ATOMIC_SPECIES
Mg 24.30 Mg.upf
Mo 95.94 Mo.upf
H 1.01 H.upf
Cl 35.45 Cl.upf
O 16.00 O.upf
CELL_PARAMETERS angstrom
3.834 0.000 0.000
0.000 8.741 0.000
-0.017 0.000 8.462
ATOMIC_POSITIONS angstrom
Mg 0.000 0.000 0.000
Mo 0.193 4.371 1.820
Mo 1.879 0.000 6.006
H 0.612 3.599 7.424
H 0.612 5.142 7.424
H 1.490 0.790 3.305
H 1.490 7.952 3.305
Cl 0.180 1.882 1.680
Cl 0.180 6.860 1.680
Cl 1.785 2.390 5.832
Cl 1.785 6.351 5.832
O 0.209 4.371 3.515
O 0.224 4.371 7.901
O 1.856 0.000 3.765
O 1.904 0.000 7.995
O 2.125 4.371 1.502
O 3.775 0.000 6.052

=====

No. 12
! MgMo2H4Cl4O6 (PBE+U, relaxed); values from VASP
! * calculated total energy: -5.137 eV/atom
&SYSTEM
  ibrav = 0, nat = 17, ntyp = 5
/
ATOMIC_SPECIES
Mg 24.30 Mg.upf
Mo 95.94 Mo.upf
H 1.01 H.upf
Cl 35.45 Cl.upf
O 16.00 O.upf
CELL_PARAMETERS angstrom
3.773 0.000 0.000
0.044 7.590 0.000
0.059 0.184 9.871
ATOMIC_POSITIONS angstrom
Mg 0.000 0.000 0.000
Mo 0.383 5.197 6.380
Mo 1.904 1.597 1.709
H 0.286 0.418 5.495
H 1.049 0.462 6.860
H 1.549 4.319 0.950
H 1.671 4.359 2.531
Cl 0.358 5.545 8.943
Cl 0.357 5.471 4.020
Cl 1.918 1.738 4.027
Cl 1.976 1.410 8.657
O 0.044 1.790 1.164
O 0.373 7.586 6.377
O 0.384 3.500 6.482
O 1.949 3.864 1.723
O 2.069 7.378 1.313
O 2.271 5.544 6.432

=====

What did the ninth record say?
! KMnH4Cl3O2 (PBE+U, relaxed); values from VASP
! * calculated total energy: -3.843 eV/atom
&SYSTEM
  ibrav = 0, nat = 22, ntyp = 5
/
ATOMIC_SPECIES
K 39.10 K.upf
Mn 54.94 Mn.upf
H 1.01 H.upf
Cl 35.45 Cl.upf
O 16.00 O.upf
CELL_PARAMETERS angstrom
6.521 0.000 0.000
2.678 6.439 0.000
0.198 3.448 8.623
ATOMIC_POSITIONS angstrom
K 0.529 0.943 1.689
K 8.868 8.944 6.934
Mn 4.175 5.143 2.813
Mn 5.222 4.744 5.810
H 2.868 6.780 4.359
H 4.426 6.926 5.029
H 3.676 5.283 6.973
H 3.999 2.547 0.501
H 5.398 7.341 8.122
H 5.720 4.604 1.650
H 4.971 2.961 3.594
H 6.528 3.107 4.264
Cl 1.516 6.062 7.169
Cl 2.271 3.065 4.297
Cl 5.636 8.731 7.004
Cl 3.761 1.156 1.619
Cl 7.126 6.822 4.326
Cl 7.881 3.825 1.454
O 3.692 6.221 4.216
O 4.631 4.259 1.446
O 4.766 5.628 7.177
O 5.705 3.666 4.407

=====

- calculated total energy of number 5 (GdMoClO4)?
  -8.384 eV/atom

=====

- What is the calculated total energy in the fourth record?
  -8.078 eV/atom

=====

- Number 3 is which compound?
  Gd2MgMo2Cl2O8